Below is AcVO3 after structural relaxation, with properties calculated at the PBE with a Hubbard U level.

Lattice parameters (Å, degrees): 4.0076 4.0076 4.0076 90.00 90.00 90.00
With the nearest neighbours (Å) after each atom.
Sites, in units of the cell vectors:
O: 0.5000 0.0000 0.5000  2 V 2.00
V: 0.5000 0.5000 0.5000  6 O 2.00
Ac: 0.0000 0.0000 0.0000  12 O 2.83
O: 0.0000 0.5000 0.5000  2 V 2.00
O: 0.5000 0.5000 0.0000  2 V 2.00

Summary:
Formation energy from the elements: -3.141 eV/atom